The following is a PBE-GGA calculation of an optimized crystal structure of FeCuSe2, from the Materials Project database. Values from VASP.

Structure (Quantum ESPRESSO input):
```
&SYSTEM
  ibrav = 0, nat = 8, ntyp = 3
/
ATOMIC_SPECIES
Fe 55.84 Fe.upf
Cu 63.55 Cu.upf
Se 78.96 Se.upf
CELL_PARAMETERS angstrom
5.463 0.000 0.000
0.000 5.463 0.000
0.000 0.000 5.615
ATOMIC_POSITIONS crystal
Fe 0.000 0.500 0.000
Fe 0.500 0.000 0.000
Cu 0.000 0.000 0.000
Cu 0.000 0.000 0.500
Se 0.262 0.262 0.746
Se 0.262 0.738 0.254
Se 0.738 0.262 0.254
Se 0.738 0.738 0.746
```

Calculated values
The value obtained for the total energy is -5.0239 eV per atom. For the formation enthalpy at 0 K, the calculation gives -370 meV per atom. The value obtained for the density is 5.50 Mg/m³.

The following is a PBE-GGA calculation of an optimized crystal structure of FeCu2SiSe4, from the Materials Project database. Values from VASP.

Structure (Quantum ESPRESSO input):
```
&SYSTEM
  ibrav = 0, nat = 8, ntyp = 4
/
ATOMIC_SPECIES
Fe 55.84 Fe.upf
Cu 63.55 Cu.upf
Si 28.09 Si.upf
Se 78.96 Se.upf
CELL_PARAMETERS angstrom
-2.794 2.794 5.520
2.794 -2.794 5.520
2.794 2.794 -5.520
ATOMIC_POSITIONS crystal
Fe 0.000 0.000 0.000
Cu 0.250 0.750 0.500
Cu 0.750 0.250 0.500
Si 0.500 0.500 0.000
Se 0.134 0.134 0.515
Se 0.381 0.866 0.000
Se 0.619 0.619 0.485
Se 0.866 0.381 0.000
```

Calculated values
The value obtained for the total energy is -4.7583 eV per atom. For the formation enthalpy at 0 K, the calculation gives -485 meV per atom. The value obtained for the density is 5.08 Mg/m³.

The following is a PBE-GGA calculation of an optimized crystal structure of FeCu2SnSe4, from the Materials Project database. Values from VASP.

Structure (Quantum ESPRESSO input):
```
&SYSTEM
  ibrav = 0, nat = 8, ntyp = 4
/
ATOMIC_SPECIES
Fe 55.84 Fe.upf
Cu 63.55 Cu.upf
Sn 118.71 Sn.upf
Se 78.96 Se.upf
CELL_PARAMETERS angstrom
-2.884 2.884 5.665
2.884 -2.884 5.665
2.884 2.884 -5.665
ATOMIC_POSITIONS crystal
Fe 0.000 0.000 0.000
Cu 0.250 0.750 0.500
Cu 0.750 0.250 0.500
Sn 0.500 0.500 0.000
Se 0.096 0.096 0.460
Se 0.364 0.904 0.000
Se 0.636 0.636 0.540
Se 0.904 0.364 0.000
```

Calculated values
The value obtained for the total energy is -4.5823 eV per atom. For the formation enthalpy at 0 K, the calculation gives -486 meV per atom. The value obtained for the offset from the most stable computed form is 0.00 kJ/mol of atoms. The value obtained for the density is 5.44 Mg/m³.

The following is a PBE-GGA calculation of an optimized crystal structure of FeCu2SnSe4, from the Materials Project database. Values from VASP.

Structure (Quantum ESPRESSO input):
```
&SYSTEM
  ibrav = 0, nat = 8, ntyp = 4
/
ATOMIC_SPECIES
Fe 55.84 Fe.upf
Cu 63.55 Cu.upf
Sn 118.71 Sn.upf
Se 78.96 Se.upf
CELL_PARAMETERS angstrom
1.989 1.149 14.166
-1.989 1.149 14.166
0.000 -2.297 14.166
ATOMIC_POSITIONS crystal
Fe 0.000 0.000 0.000
Cu 0.262 0.262 0.262
Cu 0.525 0.525 0.525
Sn 0.763 0.763 0.763
Se 0.206 0.206 0.206
Se 0.466 0.466 0.466
Se 0.684 0.684 0.684
Se 0.946 0.946 0.946
```

Calculated values
The value obtained for the total energy is -4.4892 eV per atom. For the formation enthalpy at 0 K, the calculation gives -393 meV per atom. The value obtained for the offset from the most stable computed form is 8.98 kJ/mol of atoms. The value obtained for the density is 5.28 Mg/m³.

The following is a PBE-GGA calculation of an optimized crystal structure of Zn4FeCu10Sn5Se20, from the Materials Project database. Values from VASP.

Structure (Quantum ESPRESSO input):
```
&SYSTEM
  ibrav = 0, nat = 40, ntyp = 5
/
ATOMIC_SPECIES
Zn 65.41 Zn.upf
Fe 55.84 Fe.upf
Cu 63.55 Cu.upf
Sn 118.71 Sn.upf
Se 78.96 Se.upf
CELL_PARAMETERS angstrom
10.387 -2.875 0.000
10.387 2.875 0.000
-3.208 0.000 16.044
ATOMIC_POSITIONS crystal
Zn 0.100 0.100 0.400
Zn 0.300 0.300 0.200
Zn 0.700 0.700 0.800
Zn 0.900 0.900 0.600
Fe 0.500 0.500 0.000
Cu 0.100 0.100 0.150
Cu 0.100 0.100 0.650
Cu 0.300 0.300 0.450
Cu 0.300 0.301 0.950
Cu 0.500 0.500 0.250
Cu 0.500 0.500 0.750
Cu 0.699 0.700 0.050
Cu 0.700 0.700 0.550
Cu 0.900 0.900 0.350
Cu 0.900 0.900 0.850
Sn 0.100 0.100 0.900
Sn 0.300 0.300 0.700
Sn 0.499 0.501 0.500
Sn 0.700 0.700 0.300
Sn 0.900 0.900 0.100
Se 0.135 0.654 0.471
Se 0.146 0.666 0.729
Se 0.162 0.642 0.233
Se 0.166 0.635 0.968
Se 0.334 0.854 0.271
Se 0.346 0.865 0.529
Se 0.358 0.838 0.767
Se 0.365 0.834 0.032
Se 0.533 0.055 0.071
Se 0.546 0.065 0.329
Se 0.557 0.039 0.568
Se 0.561 0.043 0.833
Se 0.728 0.260 0.874
Se 0.740 0.272 0.126
Se 0.757 0.238 0.367
Se 0.762 0.243 0.633
Se 0.935 0.454 0.671
Se 0.945 0.467 0.929
Se 0.957 0.439 0.167
Se 0.961 0.443 0.432
```

Calculated values
The value obtained for the total energy is -3.9737 eV per atom. For the formation enthalpy at 0 K, the calculation gives -598 meV per atom. The value obtained for the density is 5.42 Mg/m³.

The following is a PBE-GGA calculation of an optimized crystal structure of Zn2Fe3Cu10Sn5Se20, from the Materials Project database. Values from VASP.

Structure (Quantum ESPRESSO input):
```
&SYSTEM
  ibrav = 0, nat = 40, ntyp = 5
/
ATOMIC_SPECIES
Zn 65.41 Zn.upf
Fe 55.84 Fe.upf
Cu 63.55 Cu.upf
Sn 118.71 Sn.upf
Se 78.96 Se.upf
CELL_PARAMETERS angstrom
-2.880 5.705 14.438
2.880 -5.705 14.438
2.880 5.705 -14.438
ATOMIC_POSITIONS crystal
Zn 0.200 0.200 0.000
Zn 0.800 0.800 0.000
Fe 0.000 0.000 0.000
Fe 0.400 0.400 0.000
Fe 0.600 0.600 0.000
Cu 0.051 0.299 0.750
Cu 0.150 0.901 0.252
Cu 0.250 0.500 0.750
Cu 0.350 0.099 0.249
Cu 0.450 0.701 0.751
Cu 0.550 0.301 0.250
Cu 0.650 0.899 0.748
Cu 0.750 0.500 0.250
Cu 0.850 0.101 0.751
Cu 0.949 0.699 0.249
Sn 0.100 0.600 0.500
Sn 0.300 0.800 0.500
Sn 0.500 0.000 0.500
Sn 0.700 0.200 0.500
Sn 0.900 0.400 0.500
Se 0.016 0.914 0.626
Se 0.087 0.185 0.365
Se 0.112 0.486 0.103
Se 0.179 0.815 0.901
Se 0.221 0.121 0.635
Se 0.288 0.391 0.374
Se 0.313 0.678 0.098
Se 0.384 0.009 0.897
Se 0.420 0.322 0.636
Se 0.486 0.586 0.365
Se 0.514 0.879 0.100
Se 0.580 0.215 0.902
Se 0.616 0.514 0.626
Se 0.687 0.785 0.364
Se 0.712 0.086 0.102
Se 0.779 0.414 0.900
Se 0.821 0.722 0.635
Se 0.888 0.991 0.374
Se 0.913 0.278 0.099
Se 0.984 0.609 0.898
```

Calculated values
The value obtained for the total energy is -4.2774 eV per atom. For the formation enthalpy at 0 K, the calculation gives -541 meV per atom. The value obtained for the density is 5.44 Mg/m³.

The following is a PBE-GGA calculation of an optimized crystal structure of Tl2FeCu3Se4, from the Materials Project database. Values from VASP.

Structure (Quantum ESPRESSO input):
```
&SYSTEM
  ibrav = 0, nat = 10, ntyp = 4
/
ATOMIC_SPECIES
Tl 204.38 Tl.upf
Fe 55.84 Fe.upf
Cu 63.55 Cu.upf
Se 78.96 Se.upf
CELL_PARAMETERS angstrom
3.908 0.000 0.000
0.000 3.908 0.000
0.000 0.000 14.413
ATOMIC_POSITIONS crystal
Tl 0.000 0.500 0.240
Tl 0.500 0.000 0.760
Fe 0.000 0.000 0.500
Cu 0.000 0.000 0.000
Cu 0.500 0.500 0.000
Cu 0.500 0.500 0.500
Se 0.000 0.500 0.605
Se 0.000 0.500 0.892
Se 0.500 0.000 0.108
Se 0.500 0.000 0.395
```

Calculated values
The value obtained for the total energy is -4.1922 eV per atom. For the formation enthalpy at 0 K, the calculation gives -433 meV per atom. The value obtained for the density is 7.32 Mg/m³.

The following is a PBE-GGA calculation of an optimized crystal structure of TlFeCuSe2, from the Materials Project database. Values from VASP.

Structure (Quantum ESPRESSO input):
```
&SYSTEM
  ibrav = 0, nat = 5, ntyp = 4
/
ATOMIC_SPECIES
Tl 204.38 Tl.upf
Fe 55.84 Fe.upf
Cu 63.55 Cu.upf
Se 78.96 Se.upf
CELL_PARAMETERS angstrom
-1.953 1.953 6.915
1.953 -1.953 6.915
1.953 1.953 -6.915
ATOMIC_POSITIONS crystal
Tl 0.000 0.000 0.000
Fe 0.750 0.250 0.500
Cu 0.250 0.750 0.500
Se 0.352 0.352 0.000
Se 0.648 0.648 0.000
```

Calculated values
The value obtained for the total energy is -4.5782 eV per atom. For the formation enthalpy at 0 K, the calculation gives -382 meV per atom. The value obtained for the density is 7.58 Mg/m³.

The following is a PBE-GGA calculation of an optimized crystal structure of SmFeCu, from the Materials Project database. Values from VASP.

Structure (Quantum ESPRESSO input):
```
&SYSTEM
  ibrav = 0, nat = 12, ntyp = 3
/
ATOMIC_SPECIES
Sm 150.36 Sm.upf
Fe 55.84 Fe.upf
Cu 63.55 Cu.upf
CELL_PARAMETERS angstrom
8.733 0.000 0.000
0.000 2.610 4.564
0.000 -2.610 4.564
ATOMIC_POSITIONS crystal
Sm 0.186 0.000 0.000
Sm 0.313 0.335 0.335
Sm 0.687 0.335 0.335
Sm 0.814 0.000 0.000
Fe 0.000 0.004 0.498
Fe 0.000 0.498 0.004
Fe 0.000 0.501 0.501
Fe 0.500 0.832 0.832
Cu 0.248 0.670 0.670
Cu 0.500 0.337 0.832
Cu 0.500 0.832 0.337
Cu 0.752 0.670 0.670
```

Calculated values
The value obtained for the total energy is -5.7741 eV per atom. For the formation enthalpy at 0 K, the calculation gives -12 meV per atom. The value obtained for the density is 8.61 Mg/m³.

The following is a PBE-GGA calculation of an optimized crystal structure of YFeCu, from the Materials Project database. Values from VASP.

Structure (Quantum ESPRESSO input):
```
&SYSTEM
  ibrav = 0, nat = 6, ntyp = 3
/
ATOMIC_SPECIES
Y 88.91 Y.upf
Fe 55.84 Fe.upf
Cu 63.55 Cu.upf
CELL_PARAMETERS angstrom
-2.532 2.590 3.764
2.532 -2.590 3.764
2.532 2.590 -3.764
ATOMIC_POSITIONS crystal
Y 0.371 0.121 0.250
Y 0.629 0.879 0.750
Fe 0.000 0.000 0.500
Fe 0.000 0.500 0.000
Cu 0.000 0.500 0.500
Cu 0.500 0.500 0.000
```

Calculated values
The value obtained for the total energy is -6.3827 eV per atom. For the formation enthalpy at 0 K, the calculation gives -37 meV per atom. The value obtained for the density is 7.01 Mg/m³.

Please write out number 10 again, unchanged.
The following is a PBE-GGA calculation of an optimized crystal structure of YFeCu, from the Materials Project database. Values from VASP.

Structure (Quantum ESPRESSO input):
```
&SYSTEM
  ibrav = 0, nat = 6, ntyp = 3
/
ATOMIC_SPECIES
Y 88.91 Y.upf
Fe 55.84 Fe.upf
Cu 63.55 Cu.upf
CELL_PARAMETERS angstrom
-2.532 2.590 3.764
2.532 -2.590 3.764
2.532 2.590 -3.764
ATOMIC_POSITIONS crystal
Y 0.371 0.121 0.250
Y 0.629 0.879 0.750
Fe 0.000 0.000 0.500
Fe 0.000 0.500 0.000
Cu 0.000 0.500 0.500
Cu 0.500 0.500 0.000
```

Calculated values
The value obtained for the total energy is -6.3827 eV per atom. For the formation enthalpy at 0 K, the calculation gives -37 meV per atom. The value obtained for the density is 7.01 Mg/m³.

Which of these has the lowest formation enthalpy at 0 K?
Zn4FeCu10Sn5Se20

The lowest formation enthalpy at 0 K belongs to which entry?
Zn4FeCu10Sn5Se20

Which of these has the lowest formation enthalpy at 0 K?
Zn4FeCu10Sn5Se20